[1]
! CsAlBP2HO9 (r2SCAN, relaxed); values from VASP
&SYSTEM
  ibrav = 0, nat = 60, ntyp = 6
/
ATOMIC_SPECIES
Cs 132.91 Cs.upf
Al 26.98 Al.upf
B 10.81 B.upf
P 30.97 P.upf
H 1.01 H.upf
O 16.00 O.upf
CELL_PARAMETERS angstrom
-8.0540 2.5594 2.0946
-2.8972 -8.7958 -0.3926
1.2341 -3.3095 8.7893
ATOMIC_POSITIONS crystal
Cs 0.6179 0.3056 0.5568
Cs 0.1179 0.6944 0.9432
Cs 0.3821 0.6944 0.4432
Cs 0.8821 0.3056 0.0568
Al 0.1535 0.3028 0.4284
Al 0.6535 0.6972 0.0716
Al 0.8465 0.6972 0.5716
Al 0.3465 0.3028 0.9284
B 0.9657 0.1572 0.7021
B 0.4657 0.8428 0.7979
B 0.0343 0.8428 0.2979
B 0.5343 0.1572 0.2021
P 0.0726 0.4294 0.7015
P 0.5726 0.5706 0.7985
P 0.9274 0.5706 0.2985
P 0.4274 0.4294 0.2015
P 0.7724 0.9111 0.7815
P 0.2724 0.0889 0.7185
P 0.2276 0.0889 0.2185
P 0.7276 0.9111 0.2815
H 0.9474 0.1074 0.5002
H 0.4474 0.8926 0.9998
H 0.0526 0.8926 0.4998
H 0.5526 0.1074 0.0002
O 0.9495 0.3008 0.7367
O 0.4495 0.6992 0.7633
O 0.0505 0.6992 0.2633
O 0.5505 0.3008 0.2367
O 0.1017 0.0725 0.7694
O 0.6017 0.9275 0.7306
O 0.8983 0.9275 0.2306
O 0.3983 0.0725 0.2694
O 0.1808 0.4042 0.8313
O 0.6808 0.5958 0.6687
O 0.8192 0.5958 0.1687
O 0.3192 0.4042 0.3313
O 0.8264 0.0752 0.7562
O 0.3264 0.9248 0.7438
O 0.1736 0.9248 0.2438
O 0.6736 0.0752 0.2562
O 0.7820 0.8358 0.9420
O 0.2820 0.1642 0.5580
O 0.2180 0.1642 0.0580
O 0.7180 0.8358 0.4420
O 0.8674 0.8362 0.6865
O 0.3674 0.1638 0.8135
O 0.1326 0.1638 0.3135
O 0.6326 0.8362 0.1865
O 0.9888 0.5745 0.6918
O 0.4888 0.4255 0.8082
O 0.0112 0.4255 0.3082
O 0.5112 0.5745 0.1918
O 0.1541 0.4226 0.5617
O 0.6541 0.5774 0.9383
O 0.8459 0.5774 0.4383
O 0.3459 0.4226 0.0617
O 0.9753 0.1900 0.5398
O 0.4753 0.8100 0.9602
O 0.0247 0.8100 0.4602
O 0.5247 0.1900 0.0398
! - mass density (g/cm3) = 3.390
! - raw total energy (eV/atom) = -10.2000
! - space group = P2_1/c



[2]
! Al2Cu11B13 (r2SCAN, relaxed); values from VASP
&SYSTEM
  ibrav = 0, nat = 52, ntyp = 3
/
ATOMIC_SPECIES
Al 26.98 Al.upf
Cu 63.55 Cu.upf
B 10.81 B.upf
CELL_PARAMETERS angstrom
-4.8231 -4.2860 -4.6030
1.0492 -6.2677 4.7366
-6.2013 2.2730 4.3814
ATOMIC_POSITIONS crystal
Al 0.6187 0.6187 0.6187
Al 0.3813 0.3813 0.6187
Al 0.3813 0.6187 0.3813
Al 0.6187 0.3813 0.3813
Cu 0.1480 0.1480 0.5357
Cu 0.8520 0.8520 0.5357
Cu 0.8520 0.1480 0.4643
Cu 0.5357 0.1480 0.1480
Cu 0.1480 0.8520 0.4643
Cu 0.5357 0.8520 0.8520
Cu 0.4643 0.8520 0.1480
Cu 0.4643 0.1480 0.8520
Cu 0.1480 0.5357 0.1480
Cu 0.1480 0.4643 0.8520
Cu 0.8520 0.4643 0.1480
Cu 0.8520 0.5357 0.8520
Cu 0.2940 0.2940 0.2940
Cu 0.7060 0.7060 0.2940
Cu 0.7060 0.2940 0.7060
Cu 0.2940 0.7060 0.7060
Cu 0.1406 0.5000 0.5000
Cu 0.8594 0.5000 0.5000
Cu 0.5000 0.1406 0.5000
Cu 0.5000 0.8594 0.5000
Cu 0.5000 0.5000 0.1406
Cu 0.5000 0.5000 0.8594
B 0.7727 0.7727 0.7727
B 0.2273 0.2273 0.7727
B 0.2273 0.7727 0.2273
B 0.7727 0.2273 0.2273
B 0.2749 0.0000 0.0000
B 0.7251 0.0000 0.0000
B 0.0000 0.2749 0.0000
B 0.0000 0.7251 0.0000
B 0.0000 0.0000 0.2749
B 0.0000 0.0000 0.7251
B 0.1348 0.1348 0.1348
B 0.8652 0.8652 0.1348
B 0.8652 0.1348 0.8652
B 0.1348 0.8652 0.8652
B 0.2575 0.2575 0.9986
B 0.7425 0.7425 0.9986
B 0.7425 0.2575 0.0014
B 0.9986 0.2575 0.2575
B 0.2575 0.7425 0.0014
B 0.9986 0.7425 0.7425
B 0.0014 0.7425 0.2575
B 0.0014 0.2575 0.7425
B 0.2575 0.9986 0.2575
B 0.2575 0.0014 0.7425
B 0.7425 0.0014 0.2575
B 0.7425 0.9986 0.7425
! - mass density (g/cm3) = 5.960
! - raw total energy (eV/atom) = -8.1624
! - space group = P-43m



[3]
! AlB3H12 (r2SCAN, relaxed); values from VASP
&SYSTEM
  ibrav = 0, nat = 64, ntyp = 3
/
ATOMIC_SPECIES
Al 26.98 Al.upf
B 10.81 B.upf
H 1.01 H.upf
CELL_PARAMETERS angstrom
-4.4757 4.2662 1.3821
-1.9355 -3.5160 4.5858
11.3839 8.3201 11.1837
ATOMIC_POSITIONS crystal
Al 0.7858 0.8516 0.8672
Al 0.2858 0.1485 0.1328
Al 0.7858 0.6485 0.3672
Al 0.2858 0.3515 0.6328
B 0.4962 0.5167 0.4085
B 0.9596 0.4866 0.2815
B 0.9962 0.4833 0.5915
B 0.4962 0.9833 0.9085
B 0.9962 0.0167 0.0915
B 0.9596 0.0134 0.7815
B 0.4264 0.4386 0.0893
B 0.9264 0.5614 0.9107
B 0.9264 0.9386 0.4107
B 0.4264 0.0614 0.5893
B 0.4596 0.9866 0.2185
B 0.4596 0.5133 0.7185
H 0.0099 0.1847 0.1326
H 0.1097 0.9521 0.3958
H 0.1753 0.9287 0.0830
H 0.5112 0.5114 0.6507
H 0.9333 0.2980 0.2662
H 0.6752 0.0713 0.9170
H 0.7828 0.9208 0.7720
H 0.0099 0.3152 0.6326
H 0.2828 0.4208 0.7280
H 0.3407 0.5777 0.0538
H 0.4333 0.7020 0.7338
H 0.3932 0.1139 0.8749
H 0.9410 0.0805 0.0319
H 0.6097 0.0479 0.6042
H 0.5877 0.0944 0.2507
H 0.8932 0.8861 0.1251
H 0.0877 0.5944 0.2493
H 0.8933 0.6139 0.6251
H 0.3407 0.9223 0.5538
H 0.8408 0.0777 0.4462
H 0.6097 0.4521 0.1042
H 0.4333 0.7980 0.2338
H 0.5112 0.9886 0.1507
H 0.0876 0.9056 0.7493
H 0.2828 0.0792 0.2280
H 0.4000 0.2368 0.5527
H 0.4001 0.2631 0.0527
H 0.5876 0.4056 0.7507
H 0.3933 0.3861 0.3749
H 0.4410 0.9195 0.9681
H 0.6753 0.4287 0.4170
H 0.9410 0.4195 0.5319
H 0.4410 0.5805 0.4682
H 0.0112 0.0114 0.8493
H 0.8407 0.4223 0.9462
H 0.9333 0.2020 0.7662
H 0.9001 0.7632 0.4473
H 0.5099 0.8153 0.8673
H 0.7828 0.5792 0.2720
H 0.5099 0.6847 0.3674
H 0.8256 0.9288 0.3499
H 0.3256 0.4288 0.1501
H 0.0112 0.4886 0.3493
H 0.8255 0.5712 0.8499
H 0.1752 0.5713 0.5830
H 0.1096 0.5479 0.8958
H 0.3255 0.0712 0.6501
H 0.9000 0.7369 0.9473
! - mass density (g/cm3) = 0.684
! - raw total energy (eV/atom) = -4.4931
! - space group = Pna2_1